The following is a PBE calculation of crystalline NaSm8Se12 at its relaxed geometry, from the Materials Project.

Summary:
Crystal system: tetragonal
Volume (Å³/atom): 24.9
SG: I-42d
Uncorrected energy (eV per atom): -5.679

Lattice parameters (Å, degrees): 14.722 14.722 14.722 145.00 145.00 50.34
Sites, in units of the cell vectors:
Na 0.000 0.000 0.000
Na 0.750 0.250 0.500
Sm 0.037 0.663 0.118
Sm 0.082 0.582 0.500
Sm 0.082 0.963 0.626
Sm 0.206 0.587 0.874
Sm 0.332 0.332 0.000
Sm 0.337 0.456 0.374
Sm 0.375 0.005 0.130
Sm 0.413 0.287 0.618
Sm 0.418 0.918 0.500
Sm 0.544 0.918 0.882
Sm 0.668 0.668 0.000
Sm 0.668 0.794 0.382
Sm 0.713 0.332 0.126
Sm 0.755 0.625 0.630
Sm 0.875 0.245 0.870
Sm 0.995 0.125 0.370
Se 0.008 0.612 0.252
Se 0.031 0.922 0.747
Se 0.034 0.426 0.753
Se 0.059 0.311 0.903
Se 0.061 0.309 0.403
Se 0.078 0.824 0.108
Se 0.176 0.284 0.253
Se 0.244 0.992 0.604
Se 0.342 0.939 0.248
Se 0.360 0.756 0.748
Se 0.362 0.258 0.752
Se 0.388 0.640 0.396
Se 0.390 0.638 0.896
Se 0.408 0.156 0.097
Se 0.506 0.610 0.248
Se 0.574 0.328 0.608
Se 0.672 0.281 0.247
Se 0.689 0.592 0.748
Se 0.691 0.094 0.752
Se 0.716 0.969 0.892
Se 0.719 0.966 0.392
Se 0.742 0.494 0.104
Se 0.844 0.941 0.252
Se 0.906 0.658 0.597